Entry 1:
Entry from the Materials Project: a geometry-optimized NaH8C2S2NO5 structure (GGA-PBE). Values from VASP.

```
&SYSTEM
  ibrav = 0, nat = 152, ntyp = 6
/
ATOMIC_SPECIES
Na 22.99 Na.upf
H 1.01 H.upf
C 12.01 C.upf
S 32.06 S.upf
N 14.01 N.upf
O 16.00 O.upf
CELL_PARAMETERS angstrom
12.3246 -4.7460 0.0000
12.3246 4.7460 0.0000
-4.9934 0.0000 14.8078
ATOMIC_POSITIONS angstrom
Na 6.1623 2.3730 0.0000
Na 1.7365 0.0829 5.6343
Na 8.5795 3.4289 11.1058
Na -0.7602 -0.0829 13.0382
Na 3.6656 -2.3730 7.4039
Na 20.4159 0.0829 1.7696
Na 11.0762 -3.4289 3.7019
Na 17.9192 -0.0829 9.1735
H 2.2893 2.1558 10.2561
H 1.9242 1.4488 8.6417
H -0.7880 0.1183 6.8086
H 10.8191 3.7205 1.6064
H -3.2847 -0.1183 14.2125
H 4.2831 2.2973 13.3536
H 3.6218 1.4677 9.2426
H 11.3333 3.7205 5.7975
H 5.1722 1.8822 11.8432
H 6.0865 2.2783 13.3585
H 9.3545 2.2722 3.8980
H 8.5944 2.1887 7.0579
H 2.0694 0.0988 13.0677
H 7.9924 1.0862 3.7557
H 7.3651 1.1230 6.2863
H 4.5661 -0.0988 5.6638
H 4.6141 0.0665 7.2171
H 2.1173 -0.0665 14.6210
H 13.5580 2.1887 0.3460
H 12.7979 2.2722 3.5059
H 11.0725 2.2783 8.8532
H 4.4209 -1.4488 1.2378
H 9.7027 0.5008 3.8600
H 12.8758 2.2973 8.8581
H 8.6755 0.3931 7.2823
H 6.1185 -1.4677 1.8388
H 11.9868 1.8822 10.3685
H 4.7860 -2.1558 2.8522
H 5.4957 -1.0862 11.1596
H 6.1788 -0.3931 14.6861
H 14.7873 1.1230 1.1176
H 7.2060 -0.5008 11.2639
H 12.4497 0.5008 3.5439
H 4.8684 -1.1230 13.6902
H 13.4769 0.3931 0.1216
H 14.1600 1.0862 3.6482
H 14.8697 2.1558 11.9556
H 7.6689 -1.8822 4.4393
H 13.5372 1.4677 12.9690
H 10.9802 -0.3931 7.5255
H 6.7799 -2.2973 5.9497
H 9.9530 -0.5008 10.9478
H 15.2348 1.4488 13.5700
H 8.5832 -2.2783 5.9546
H 6.8578 -2.2722 11.3019
H 6.0977 -2.1887 14.4618
H 17.5384 0.0665 0.1867
H 15.0416 -0.0665 7.5906
H 15.0896 0.0988 9.1439
H 12.2906 -1.1230 8.5215
H 11.6633 -1.0862 11.0521
H 17.5863 -0.0988 1.7400
H 11.0613 -2.1887 7.7499
H 10.3012 -2.2722 10.9098
H 13.5692 -2.2783 1.4493
H 14.4835 -1.8822 2.9646
H 8.3224 -3.7205 9.0103
H 16.0339 -1.4677 5.5651
H 15.3726 -2.2973 1.4542
H 22.9404 0.1183 0.5953
H 8.8366 -3.7205 13.2014
H 20.4437 -0.1183 7.9992
H 17.7315 -1.4488 6.1661
H 17.3664 -2.1558 4.5517
C 2.5659 1.3872 9.5279
C 5.1880 2.4750 12.7642
C 9.0393 1.2986 3.5056
C 8.0203 1.2615 7.1541
C 11.9710 2.4750 9.4474
C 5.0626 -1.3872 2.1240
C 14.1321 1.2615 0.2498
C 13.1131 1.2986 3.8983
C 6.5426 -1.2986 10.9095
C 5.5236 -1.2615 14.5580
C 14.5931 1.3872 12.6838
C 7.6847 -2.4750 5.3603
C 11.6354 -1.2615 7.6537
C 10.6164 -1.2986 11.3022
C 14.4677 -2.4750 2.0435
C 17.0898 -1.3872 5.2799
S 2.0931 0.5538 2.4896
S -0.4036 -0.5538 9.8935
S 4.8511 0.1984 2.8807
S 9.1715 1.3771 1.7384
S 2.3543 -0.1984 10.2846
S 6.9937 1.3737 8.6021
S 10.1653 1.3737 13.6096
S 12.9809 1.3771 5.6655
S 6.6748 -1.3771 9.1423
S 9.4904 -1.3737 1.1982
S 12.6620 -1.3737 6.2057
S 17.3014 0.1984 4.5232
S 10.4842 -1.3771 13.0693
S 14.8046 -0.1984 11.9271
S 20.0593 0.5538 4.9142
S 17.5626 -0.5538 12.3181
N 3.3414 0.2664 3.4433
N 0.8447 -0.2664 10.8472
N 6.1153 0.0251 8.5914
N 8.6120 -0.0251 1.1875
N 11.0437 0.0251 13.6203
N 13.5404 -0.0251 6.2164
N 18.8110 0.2664 3.9606
N 16.3143 -0.2664 11.3645
O -3.2460 0.0768 13.2486
O 0.9236 0.3817 3.3620
O -0.7493 -0.0768 5.8447
O -0.4156 0.2336 8.6612
O 8.2210 2.3965 1.2770
O 6.0456 2.4627 8.3935
O 5.1375 1.2078 1.8624
O -1.5731 -0.3817 10.7659
O 2.0811 -0.2336 1.2573
O 1.5273 0.2128 13.8815
O 5.6951 0.2358 4.0799
O 4.0240 -0.2128 6.4776
O 10.5731 1.6519 1.4049
O 7.8739 1.5085 9.7660
O 3.1984 -0.2358 11.4838
O 2.6408 -1.2078 9.2663
O 11.5794 1.6519 5.9990
O 11.1133 2.4627 13.8182
O 9.2850 1.5085 12.4456
O 13.9314 2.3965 6.1269
O 5.7243 -2.3965 8.6809
O 10.3707 -1.5085 2.3621
O 8.5424 -2.4627 0.9896
O 8.0763 -1.6519 8.8088
O 17.0149 1.2078 5.5415
O 16.4573 0.2358 3.3240
O 11.7818 -1.5085 5.0418
O 9.0826 -1.6519 13.4029
O 15.6317 0.2128 8.3302
O 13.9606 -0.2358 10.7279
O 18.1284 -0.2128 0.9263
O 17.5746 0.2336 13.5505
O 21.2288 0.3817 4.0419
O 14.5182 -1.2078 12.9454
O 13.6101 -2.4627 6.4143
O 11.4347 -2.3965 13.5307
O 20.0713 -0.2336 6.1466
O 20.4050 0.0768 8.9631
O 18.7321 -0.3817 11.4458
O 22.9017 -0.0768 1.5592
```

Space-group type: C2/c, No. 15

Entry 2:
Entry from the Materials Project: a geometry-optimized Hg3Se3O10 structure (GGA-PBE). Values from VASP.

```
&SYSTEM
  ibrav = 0, nat = 32, ntyp = 3
/
ATOMIC_SPECIES
Hg 200.59 Hg.upf
Se 78.96 Se.upf
O 16.00 O.upf
CELL_PARAMETERS angstrom
8.6700 0.0000 0.0000
0.0000 5.4475 0.0000
-3.5517 0.0000 10.8247
ATOMIC_POSITIONS angstrom
Hg -0.4242 0.0000 1.3871
Hg -2.1663 5.3894 6.7952
Hg 2.5527 2.7460 2.2418
Hg 2.5656 0.0223 8.5829
Hg 7.2846 2.6657 4.0295
Hg 5.5425 2.7237 9.4376
Se -1.1803 0.1181 10.4000
Se 0.7655 5.2258 4.5560
Se 0.5294 2.7034 7.7421
Se 4.5889 5.4271 3.0827
Se 4.3528 2.5021 6.2687
Se 6.2986 2.8418 0.4247
O -2.0657 0.6919 9.0086
O -0.7321 4.5807 5.2157
O 0.1734 0.9821 3.4160
O 1.3385 4.2680 0.1458
O 1.7344 1.3353 0.6545
O -0.7183 3.6289 8.3621
O 0.9669 3.9164 3.4540
O 0.0861 1.6999 6.4977
O 1.1224 1.7547 9.0417
O 1.7786 3.7261 7.2073
O 3.3397 1.0024 3.6175
O 3.9959 4.4784 1.7831
O 5.0322 4.4236 4.3271
O 4.1514 1.1927 7.3707
O 5.8366 0.9052 2.4627
O 3.3839 4.0590 10.1702
O 3.7798 1.5443 10.6789
O 4.9449 3.7058 7.4087
O 5.8504 1.8569 5.6090
O 7.1840 3.4156 1.8161
```

Space-group type: P2_1, No. 4

Entry 3:
Entry from the Materials Project: a geometry-optimized Ce6Mg23Sb structure (GGA-PBE). Values from VASP.

```
&SYSTEM
  ibrav = 0, nat = 30, ntyp = 3
/
ATOMIC_SPECIES
Ce 140.12 Ce.upf
Mg 24.30 Mg.upf
Sb 121.76 Sb.upf
CELL_PARAMETERS angstrom
0.0000 7.2727 7.2727
7.2727 0.0000 7.2727
7.2727 7.2727 0.0000
ATOMIC_POSITIONS angstrom
Ce 7.2727 7.2727 3.1486
Ce 7.2727 3.1486 7.2727
Ce 11.3968 7.2727 7.2727
Ce 3.1486 7.2727 7.2727
Ce 7.2727 11.3968 7.2727
Ce 7.2727 7.2727 11.3968
Mg 3.6363 3.6363 0.0000
Mg 3.6363 0.0000 3.6363
Mg 7.2727 3.6363 3.6363
Mg 9.0399 5.5054 5.5054
Mg 2.4913 2.4913 2.4913
Mg 4.7814 4.7814 2.4913
Mg 4.7814 2.4913 4.7814
Mg 5.5054 5.5054 5.5054
Mg 9.0399 9.0399 5.5054
Mg 9.0399 5.5054 9.0399
Mg 2.4913 4.7814 4.7814
Mg 0.0000 3.6363 3.6363
Mg 3.6363 7.2727 3.6363
Mg 3.6363 3.6363 7.2727
Mg 7.2727 7.2727 7.2727
Mg 12.0541 9.7639 9.7639
Mg 5.5054 9.0399 5.5054
Mg 5.5054 5.5054 9.0399
Mg 9.0399 9.0399 9.0399
Mg 9.7639 12.0541 9.7639
Mg 9.7639 9.7639 12.0541
Mg 12.0541 12.0541 12.0541
Mg 5.5054 9.0399 9.0399
Sb 0.0000 0.0000 0.0000
```

Space-group type: Fm-3m, No. 225

Entry 4:
Entry from the Materials Project: a geometry-optimized RbTlF3 structure (GGA-PBE). Values from VASP.

```
&SYSTEM
  ibrav = 0, nat = 10, ntyp = 3
/
ATOMIC_SPECIES
Rb 85.47 Rb.upf
Tl 204.38 Tl.upf
F 19.00 F.upf
CELL_PARAMETERS angstrom
0.0000 4.8245 4.8245
4.8245 0.0000 4.8245
4.8245 4.8245 0.0000
ATOMIC_POSITIONS angstrom
Rb 2.4122 2.4122 2.4122
Rb 7.2367 7.2367 7.2367
Tl 0.0000 0.0000 0.0000
Tl 4.8245 4.8245 4.8245
F 4.8245 4.8245 2.2063
F 4.8245 2.2063 4.8245
F 7.4427 4.8245 4.8245
F 2.2063 4.8245 4.8245
F 4.8245 7.4427 4.8245
F 4.8245 4.8245 7.4427
```

Space-group type: Fm-3m, No. 225

Entry 5:
Entry from the Materials Project: a geometry-optimized KCaDySeO6 structure (GGA-PBE). Values from VASP.

```
&SYSTEM
  ibrav = 0, nat = 10, ntyp = 5
/
ATOMIC_SPECIES
K 39.10 K.upf
Ca 40.08 Ca.upf
Dy 162.50 Dy.upf
Se 78.96 Se.upf
O 16.00 O.upf
CELL_PARAMETERS angstrom
0.0000 4.0273 4.0273
4.0273 0.0000 4.0273
4.0273 4.0273 0.0000
ATOMIC_POSITIONS angstrom
K 0.0000 0.0000 0.0000
Ca 4.0273 4.0273 4.0273
Dy 6.0409 6.0409 6.0409
Se 2.0136 2.0136 2.0136
O 2.0136 2.0136 0.1916
O 2.0136 0.1916 2.0136
O 3.8357 2.0136 2.0136
O 0.1916 2.0136 2.0136
O 2.0136 3.8357 2.0136
O 2.0136 2.0136 3.8357
```

Space-group type: F-43m, No. 216

Entry 6:
Entry from the Materials Project: a geometry-optimized DyMn4Al8 structure (GGA-PBE). Values from VASP.

```
&SYSTEM
  ibrav = 0, nat = 13, ntyp = 3
/
ATOMIC_SPECIES
Dy 162.50 Dy.upf
Mn 54.94 Mn.upf
Al 26.98 Al.upf
CELL_PARAMETERS angstrom
-4.3922 4.3922 2.5760
4.3922 -4.3922 2.5760
4.3922 4.3922 -2.5760
ATOMIC_POSITIONS angstrom
Dy 0.0000 0.0000 0.0000
Mn 2.1961 2.1961 -1.2880
Mn 2.1961 -2.1961 1.2880
Mn -2.1961 2.1961 1.2880
Mn 2.1961 2.1961 1.2880
Al 2.9529 0.0000 0.0000
Al 5.8315 0.0000 0.0000
Al 4.3922 2.4217 0.0000
Al 0.0000 2.9529 0.0000
Al 2.4217 4.3922 0.0000
Al 1.9705 0.0000 2.5760
Al 0.0000 5.8315 0.0000
Al 0.0000 1.9705 2.5760
```

Space-group type: I4/mmm, No. 139

Entry 7:
Entry from the Materials Project: a geometry-optimized K2NdCuF6 structure (GGA-PBE). Values from VASP.

```
&SYSTEM
  ibrav = 0, nat = 10, ntyp = 4
/
ATOMIC_SPECIES
K 39.10 K.upf
Nd 144.24 Nd.upf
Cu 63.55 Cu.upf
F 19.00 F.upf
CELL_PARAMETERS angstrom
0.0000 4.5198 4.5198
4.5198 0.0000 4.5198
4.5198 4.5198 0.0000
ATOMIC_POSITIONS angstrom
K 2.2599 2.2599 2.2599
K 6.7797 6.7797 6.7797
Nd 0.0000 0.0000 0.0000
Cu 4.5198 4.5198 4.5198
F 4.5198 4.5198 2.2692
F 4.5198 2.2692 4.5198
F 6.7703 4.5198 4.5198
F 2.2692 4.5198 4.5198
F 4.5198 6.7703 4.5198
F 4.5198 4.5198 6.7703
```

Space-group type: Fm-3m, No. 225

For the records above, the corresponding energy of formation from the pure elements values read -877 -1019 -85 -2480 -2406 -342 -3067 meV/atom.